Density functional theory data (PBE with a Hubbard U) for a relaxed structure of Ta2VO6.

Structure (extended XYZ):
```
36
Lattice="4.841 0.000 0.000 0.000 -4.841 9.246 0.000 -9.681 0.000" Properties=species:S:1:pos:R:3 pbc="T T T"
O 0.996 -10.678 7.595
O 3.416 -11.106 2.972
Ta 0.000 -4.841 3.056
O 3.845 -8.685 1.651
O 3.845 -3.845 1.651
O 1.523 -8.159 0.000
O 1.424 -8.257 2.972
O 3.318 -6.364 0.000
V 2.420 -2.420 4.623
O 0.996 -0.996 1.651
V 0.000 -4.841 0.000
O 3.318 -1.523 0.000
O 0.996 -5.837 7.595
Ta 2.420 -7.261 7.679
V 0.000 0.000 0.000
V 2.420 -7.261 4.623
O 3.845 -8.685 7.595
Ta 0.000 -9.681 6.190
O 3.416 -6.265 6.274
Ta 0.000 -9.681 3.056
O 1.424 -3.416 6.274
O 1.424 -8.257 6.274
O 1.424 -3.416 2.972
O 0.897 -5.738 4.623
Ta 2.420 -12.102 7.679
Ta 0.000 -4.841 6.190
O 3.416 -6.265 2.972
O 3.943 -3.943 4.623
O 3.845 -13.526 7.595
O 3.416 -11.106 6.274
Ta 2.420 -7.261 1.567
O 0.996 -5.837 1.651
O 0.897 -10.579 4.623
O 3.943 -8.784 4.623
O 1.523 -3.318 0.000
Ta 2.420 -2.420 1.567
```

Output
As for the formation energy: -3.1239 eV/atom. Its energy with MP2020 corrections is -10.067 eV/atom.